# 1
A relaxed La2Sn3Pb3S12 crystal, computed with GGA-PBE.

Unit cell a=4.026 b=20.710 c=11.767 alpha=90.00 beta=90.00 gamma=90.00
Element x y z (fractional)
La: 0.000 0.088 0.000
La: 0.000 0.395 0.671
La: 0.000 0.605 0.171
La: 0.000 0.912 0.500
Sn: 0.500 0.077 0.342
Sn: 0.500 0.250 0.848
Sn: 0.500 0.411 0.364
Sn: 0.500 0.589 0.864
Sn: 0.500 0.750 0.348
Sn: 0.500 0.923 0.842
Pb: 0.000 0.123 0.618
Pb: 0.000 0.243 0.250
Pb: 0.000 0.413 0.044
Pb: 0.000 0.587 0.544
Pb: 0.000 0.757 0.750
Pb: 0.000 0.877 0.118
S: 0.000 0.014 0.280
S: 0.000 0.243 0.990
S: 0.000 0.255 0.698
S: 0.000 0.341 0.442
S: 0.000 0.481 0.288
S: 0.000 0.519 0.788
S: 0.000 0.659 0.942
S: 0.000 0.745 0.198
S: 0.000 0.757 0.490
S: 0.000 0.986 0.780
S: 0.500 0.014 0.531
S: 0.500 0.127 0.826
S: 0.500 0.144 0.157
S: 0.500 0.178 0.449
S: 0.500 0.343 0.184
S: 0.500 0.374 0.846
S: 0.500 0.473 0.554
S: 0.500 0.527 0.054
S: 0.500 0.626 0.346
S: 0.500 0.657 0.684
S: 0.500 0.822 0.949
S: 0.500 0.856 0.657
S: 0.500 0.873 0.326
S: 0.500 0.986 0.031

Calculated values
Space-group type ... Pmc2_1 (26)
Electronic total energy ... -5.00 eV/atom
Spin magnetization ... 0.00 μB/cell
Crystal system ... orthorhombic
Formation enthalpy at 0 K ... -1.168 eV per atom


# 2
A relaxed LiBeP crystal, computed with GGA-PBE.

Unit cell a=3.606 b=3.606 c=6.008 alpha=90.00 beta=90.00 gamma=90.00
Element x y z (fractional)
Li: 0.250 0.250 0.148
Li: 0.750 0.750 0.852
Be: 0.250 0.750 0.500
Be: 0.750 0.250 0.500
P: 0.250 0.250 0.718
P: 0.750 0.750 0.282

Calculated values
Space-group type ... P4/nmm (129)
Electronic total energy ... -4.27 eV/atom
Crystal system ... tetragonal
Formation enthalpy at 0 K ... -0.582 eV per atom


# 3
A relaxed VS crystal, computed with GGA-PBE.

Unit cell a=5.850 b=3.208 c=5.793 alpha=90.00 beta=90.00 gamma=90.00
Element x y z (fractional)
V: 0.010 0.250 0.198
V: 0.490 0.750 0.698
V: 0.510 0.250 0.302
V: 0.990 0.750 0.802
S: 0.220 0.250 0.577
S: 0.280 0.750 0.077
S: 0.720 0.250 0.923
S: 0.780 0.750 0.423

Calculated values
Space-group type ... Pnma (62)
Electronic total energy ... -7.50 eV/atom
Spin magnetization ... 0.02 μB/cell
Crystal system ... orthorhombic
Formation enthalpy at 0 K ... -1.146 eV per atom


# 4
A relaxed LiMg6Al crystal, computed with GGA-PBE.

Unit cell a=5.014 b=6.267 c=10.949 alpha=90.00 beta=90.00 gamma=90.00
Element x y z (fractional)
Li: 0.500 0.500 0.167
Li: 0.500 0.000 0.667
Mg: 0.500 0.251 0.417
Mg: 0.500 0.749 0.417
Mg: 0.000 0.751 0.085
Mg: 0.000 0.249 0.085
Mg: 0.000 0.000 0.331
Mg: 0.000 0.500 0.332
Mg: 0.500 0.751 0.917
Mg: 0.500 0.249 0.917
Mg: 0.000 0.251 0.585
Mg: 0.000 0.749 0.585
Mg: 0.000 0.500 0.831
Mg: 0.000 0.000 0.832
Al: 0.500 0.000 0.166
Al: 0.500 0.500 0.666

Calculated values
Electronic total energy ... -1.91 eV/atom
Spin magnetization ... 0.00 μB/cell
Formation enthalpy at 0 K ... -0.007 eV per atom